Here is NaLiCuP3O9 after structural relaxation from the Materials Project database. Energies are from GGA-PBE.

Calculated values
For the calculated formation energy, the calculation gives -228.8 kJ/mol of atoms. For the total energy, the calculation gives -6.499 eV per atom. The crystal system is orthorhombic.

Lattice parameters (Å, degrees): 8.810 9.121 9.158 90.00 90.00 90.00
Atoms (fractional coordinates):
Na1 0.138 0.087 0.105
Na2 0.362 0.913 0.605
Na3 0.638 0.413 0.895
Na4 0.862 0.587 0.395
Li1 0.123 0.412 0.333
Li2 0.377 0.588 0.833
Li3 0.623 0.088 0.667
Li4 0.877 0.912 0.167
Cu1 0.113 0.858 0.394
Cu2 0.387 0.142 0.894
Cu3 0.613 0.642 0.606
Cu4 0.887 0.358 0.106
P1 0.047 0.675 0.048
P2 0.056 0.056 0.733
P3 0.221 0.566 0.570
P4 0.279 0.434 0.070
P5 0.444 0.944 0.233
P6 0.453 0.325 0.548
P7 0.547 0.825 0.952
P8 0.556 0.444 0.267
P9 0.721 0.934 0.430
P10 0.779 0.066 0.930
P11 0.944 0.556 0.767
P12 0.953 0.175 0.452
O1 0.015 0.186 0.617
O2 0.050 0.081 0.354
O3 0.071 0.831 0.095
O4 0.107 0.924 0.649
O5 0.114 0.519 0.704
O6 0.131 0.614 0.438
O7 0.151 0.122 0.852
O8 0.155 0.340 0.133
O9 0.212 0.594 0.021
O10 0.288 0.406 0.521
O11 0.345 0.660 0.633
O12 0.349 0.878 0.352
O13 0.369 0.386 0.938
O14 0.386 0.481 0.204
O15 0.393 0.076 0.149
O16 0.429 0.169 0.595
O17 0.450 0.919 0.854
O18 0.485 0.814 0.117
O19 0.515 0.314 0.383
O20 0.550 0.419 0.646
O21 0.571 0.669 0.905
O22 0.607 0.576 0.351
O23 0.614 0.981 0.296
O24 0.631 0.886 0.562
O25 0.651 0.378 0.148
O26 0.655 0.160 0.867
O27 0.712 0.906 0.979
O28 0.788 0.094 0.479
O29 0.845 0.840 0.367
O30 0.849 0.622 0.648
O31 0.869 0.114 0.062
O32 0.886 0.019 0.796
O33 0.893 0.424 0.851
O34 0.929 0.331 0.405
O35 0.950 0.581 0.146
O36 0.985 0.686 0.883



Here is LiNbCuO4 after structural relaxation from the Materials Project database. Energies are from GGA-PBE.

Calculated values
For the calculated formation energy, the calculation gives -215.0 kJ/mol of atoms. For the total energy, the calculation gives -6.965 eV per atom. The crystal system is tetragonal. The offset from the most stable computed form is 12 meV/atom.

Lattice parameters (Å, degrees): 6.224 6.224 8.234 90.00 90.00 90.00
Atoms (fractional coordinates):
Li1 0.000 0.217 0.000
Li2 0.000 0.783 0.500
Li3 0.217 0.000 0.250
Li4 0.783 0.000 0.750
Nb1 0.213 0.500 0.250
Nb2 0.500 0.213 0.000
Nb3 0.500 0.787 0.500
Nb4 0.787 0.500 0.750
Cu1 0.257 0.257 0.625
Cu2 0.257 0.743 0.875
Cu3 0.743 0.257 0.375
Cu4 0.743 0.743 0.125
O1 0.019 0.263 0.260
O2 0.019 0.737 0.240
O3 0.263 0.019 0.990
O4 0.263 0.981 0.510
O5 0.265 0.476 0.009
O6 0.265 0.524 0.491
O7 0.476 0.265 0.241
O8 0.476 0.735 0.259
O9 0.524 0.265 0.759
O10 0.524 0.735 0.741
O11 0.735 0.476 0.991
O12 0.735 0.524 0.509
O13 0.737 0.019 0.010
O14 0.737 0.981 0.490
O15 0.981 0.263 0.740
O16 0.981 0.737 0.760



Here is Li4NbCu3O8 after structural relaxation from the Materials Project database. Energies are from GGA-PBE.

Calculated values
For the calculated formation energy, the calculation gives -179.0 kJ/mol of atoms. For the total energy, the calculation gives -5.862 eV per atom. The crystal system is monoclinic.

Lattice parameters (Å, degrees): 6.157 6.157 5.804 116.91 116.91 55.90
Atoms (fractional coordinates):
Li1 0.000 0.000 0.000
Li2 0.000 0.500 0.500
Li3 0.500 0.000 0.500
Li4 0.500 0.500 0.000
Nb1 0.000 0.000 0.500
Cu1 0.000 0.500 0.000
Cu2 0.500 0.000 0.000
Cu3 0.500 0.500 0.500
O1 0.220 0.736 0.721
O2 0.225 0.225 0.748
O3 0.264 0.780 0.279
O4 0.271 0.271 0.239
O5 0.729 0.729 0.761
O6 0.736 0.220 0.721
O7 0.775 0.775 0.252
O8 0.780 0.264 0.279



Here is Li5Nb2Cu5O12 after structural relaxation from the Materials Project database. Energies are from GGA-PBE.

Calculated values
For the calculated formation energy, the calculation gives -183.6 kJ/mol of atoms. For the total energy, the calculation gives -6.127 eV per atom. The crystal system is monoclinic.

Lattice parameters (Å, degrees): 5.192 5.192 9.878 91.16 91.16 114.25
Atoms (fractional coordinates):
Li1 0.000 0.000 0.000
Li2 0.063 0.405 0.241
Li3 0.228 0.248 0.753
Li4 0.595 0.937 0.759
Li5 0.752 0.772 0.247
Nb1 0.170 0.830 0.500
Nb2 0.664 0.336 0.000
Cu1 0.322 0.678 0.000
Cu2 0.401 0.088 0.247
Cu3 0.500 0.500 0.500
Cu4 0.834 0.166 0.500
Cu5 0.912 0.599 0.753
O1 0.102 0.095 0.368
O2 0.223 0.562 0.628
O3 0.336 0.011 0.899
O4 0.372 0.397 0.120
O5 0.438 0.777 0.372
O6 0.493 0.163 0.600
O7 0.603 0.628 0.880
O8 0.709 0.080 0.134
O9 0.837 0.507 0.400
O10 0.905 0.898 0.632
O11 0.920 0.291 0.866
O12 0.989 0.664 0.101



Here is LiNbCuO4 after structural relaxation from the Materials Project database. Energies are from GGA-PBE.

Calculated values
For the calculated formation energy, the calculation gives -216.2 kJ/mol of atoms. For the total energy, the calculation gives -6.977 eV per atom. The crystal system is tetragonal. The offset from the most stable computed form is 0 meV/atom.

Lattice parameters (Å, degrees): 5.819 5.819 9.704 90.00 90.00 90.00
Atoms (fractional coordinates):
Li1 0.000 0.240 0.000
Li2 0.000 0.760 0.500
Li3 0.240 0.000 0.250
Li4 0.760 0.000 0.750
Nb1 0.259 0.259 0.625
Nb2 0.259 0.741 0.875
Nb3 0.741 0.259 0.375
Nb4 0.741 0.741 0.125
Cu1 0.239 0.500 0.250
Cu2 0.500 0.239 0.000
Cu3 0.500 0.761 0.500
Cu4 0.761 0.500 0.750
O1 0.003 0.259 0.259
O2 0.003 0.741 0.241
O3 0.259 0.003 0.991
O4 0.259 0.481 0.990
O5 0.259 0.519 0.510
O6 0.259 0.997 0.509
O7 0.481 0.259 0.260
O8 0.481 0.741 0.240
O9 0.519 0.259 0.740
O10 0.519 0.741 0.760
O11 0.741 0.003 0.009
O12 0.741 0.481 0.010
O13 0.741 0.519 0.490
O14 0.741 0.997 0.491
O15 0.997 0.259 0.741
O16 0.997 0.741 0.759



Here is Li4Nb3Cu3Sn2O16 after structural relaxation from the Materials Project database. Energies are from GGA-PBE.

Calculated values
For the calculated formation energy, the calculation gives -210.1 kJ/mol of atoms. For the total energy, the calculation gives -6.693 eV per atom. The crystal system is monoclinic.

Lattice parameters (Å, degrees): 6.224 6.224 10.003 92.62 92.62 58.54
Atoms (fractional coordinates):
Li1 0.000 0.000 0.000
Li2 0.021 0.021 0.519
Li3 0.353 0.353 0.435
Li4 0.680 0.680 0.909
Nb1 0.193 0.193 0.741
Nb2 0.365 0.861 0.235
Nb3 0.861 0.365 0.235
Cu1 0.194 0.681 0.730
Cu2 0.681 0.194 0.730
Cu3 0.846 0.846 0.239
Sn1 0.371 0.371 0.000
Sn2 0.706 0.706 0.522
O1 0.024 0.024 0.817
O2 0.033 0.033 0.330
O3 0.048 0.478 0.880
O4 0.190 0.190 0.132
O5 0.201 0.702 0.118
O6 0.349 0.349 0.633
O7 0.368 0.884 0.616
O8 0.478 0.048 0.880
O9 0.501 0.501 0.855
O10 0.522 0.986 0.368
O11 0.545 0.545 0.353
O12 0.667 0.667 0.119
O13 0.702 0.201 0.118
O14 0.874 0.874 0.616
O15 0.884 0.368 0.616
O16 0.986 0.522 0.368



Which of these has the highest calculated formation energy?
Li4NbCu3O8



Among the records above, which one has the highest calculated formation energy?
Li4NbCu3O8



The highest calculated formation energy belongs to which entry?
Li4NbCu3O8